# Li3FePCO7, optimized geometry, DFT PBE with a Hubbard U
# E: -347.5 eV/cell
# calculated formation energy: -2.343 eV per atom
# E above lowest polymorph: 0.19 kJ per mole of atoms
data_Li3FePCO7
_space_group_name_H-M_alt 'P 1'
_space_group_IT_number 1
_cell_length_a 8.185
_cell_length_b 8.185
_cell_length_c 8.567
_cell_angle_alpha 94.17
_cell_angle_beta 85.83
_cell_angle_gamma 76.00
loop_
_space_group_symop_operation_xyz
'x,y,z'
loop_
_atom_site_label
_atom_site_type_symbol
_atom_site_fract_x
_atom_site_fract_y
_atom_site_fract_z
Li1 Li 0.524 0.726 0.104
Li2 Li 0.024 0.226 0.104
Li3 Li 0.476 0.274 0.896
Li4 Li 0.976 0.774 0.896
Li5 Li 0.856 0.127 0.726
Li6 Li 0.356 0.627 0.726
Li7 Li 0.144 0.873 0.274
Li8 Li 0.644 0.373 0.274
Li9 Li 0.623 0.894 0.726
Li10 Li 0.123 0.394 0.726
Li11 Li 0.377 0.106 0.274
Li12 Li 0.877 0.606 0.274
Fe1 Fe 0.269 0.481 0.330
Fe2 Fe 0.731 0.519 0.670
Fe3 Fe 0.769 0.981 0.330
Fe4 Fe 0.231 0.019 0.670
P1 P 0.490 0.760 0.411
P2 P 0.990 0.260 0.411
P3 P 0.510 0.240 0.589
P4 P 0.010 0.740 0.589
C1 C 0.709 0.041 0.036
C2 C 0.209 0.541 0.036
C3 C 0.291 0.959 0.964
C4 C 0.791 0.459 0.964
O1 O 0.460 0.290 0.426
O2 O 0.960 0.790 0.426
O3 O 0.540 0.710 0.574
O4 O 0.040 0.210 0.574
O5 O 0.833 0.917 0.063
O6 O 0.333 0.417 0.063
O7 O 0.167 0.083 0.937
O8 O 0.667 0.583 0.937
O9 O 0.382 0.868 0.841
O10 O 0.882 0.368 0.841
O11 O 0.618 0.132 0.159
O12 O 0.118 0.632 0.159
O13 O 0.334 0.916 0.431
O14 O 0.834 0.416 0.431
O15 O 0.666 0.084 0.569
O16 O 0.166 0.584 0.569
O17 O 0.675 0.075 0.895
O18 O 0.175 0.575 0.895
O19 O 0.325 0.925 0.105
O20 O 0.825 0.425 0.105
O21 O 0.362 0.201 0.693
O22 O 0.862 0.701 0.693
O23 O 0.549 0.388 0.693
O24 O 0.049 0.888 0.693
O25 O 0.638 0.799 0.307
O26 O 0.138 0.299 0.307
O27 O 0.451 0.612 0.307
O28 O 0.951 0.112 0.307

# Li6Ti3FeP6O24, optimized geometry, DFT PBE with a Hubbard U
# E: -287.7 eV/cell
# calculated formation energy: -2.790 eV per atom
data_Li6Ti3FeP6O24
_space_group_name_H-M_alt 'P 1'
_space_group_IT_number 1
_cell_length_a 8.551
_cell_length_b 8.612
_cell_length_c 8.613
_cell_angle_alpha 62.34
_cell_angle_beta 62.44
_cell_angle_gamma 62.55
loop_
_space_group_symop_operation_xyz
'x,y,z'
loop_
_atom_site_label
_atom_site_type_symbol
_atom_site_fract_x
_atom_site_fract_y
_atom_site_fract_z
Li1 Li 0.980 0.011 0.004
Li2 Li 0.245 0.655 0.852
Li3 Li 0.522 0.502 0.491
Li4 Li 0.774 0.340 0.161
Li5 Li 0.338 0.162 0.775
Li6 Li 0.163 0.775 0.338
Ti1 Ti 0.854 0.864 0.855
Ti2 Ti 0.646 0.645 0.638
Ti3 Ti 0.352 0.351 0.351
Fe1 Fe 0.149 0.151 0.151
P1 P 0.945 0.553 0.247
P2 P 0.552 0.250 0.943
P3 P 0.249 0.946 0.548
P4 P 0.746 0.043 0.459
P5 P 0.457 0.747 0.039
P6 P 0.045 0.462 0.747
O1 O 0.879 0.514 0.687
O2 O 0.678 0.885 0.506
O3 O 0.950 0.734 0.079
O4 O 0.485 0.686 0.883
O5 O 0.758 0.583 0.405
O6 O 0.960 0.397 0.195
O7 O 0.741 0.093 0.930
O8 O 0.565 0.417 0.761
O9 O 0.404 0.755 0.580
O10 O 0.807 0.006 0.619
O11 O 0.904 0.056 0.270
O12 O 0.626 0.798 0.996
O13 O 0.395 0.195 0.962
O14 O 0.095 0.928 0.741
O15 O 0.193 0.963 0.396
O16 O 0.590 0.234 0.437
O17 O 0.439 0.588 0.230
O18 O 0.271 0.906 0.058
O19 O 0.024 0.622 0.800
O20 O 0.234 0.434 0.588
O21 O 0.510 0.305 0.110
O22 O 0.054 0.276 0.906
O23 O 0.307 0.111 0.507
O24 O 0.113 0.507 0.304

# V3CrCo2P6O24, optimized geometry, DFT PBE with a Hubbard U
# E: -263.8 eV/cell
# calculated formation energy: -2.453 eV per atom
data_V3CrCo2P6O24
_space_group_name_H-M_alt 'P 1'
_space_group_IT_number 1
_cell_length_a 8.507
_cell_length_b 8.507
_cell_length_c 8.507
_cell_angle_alpha 60.77
_cell_angle_beta 60.77
_cell_angle_gamma 60.77
loop_
_space_group_symop_operation_xyz
'x,y,z'
loop_
_atom_site_label
_atom_site_type_symbol
_atom_site_fract_x
_atom_site_fract_y
_atom_site_fract_z
V1 V 0.357 0.357 0.357
V2 V 0.142 0.142 0.142
V3 V 0.643 0.643 0.643
Cr1 Cr 0.859 0.859 0.859
Co1 Co 0.000 0.000 0.000
Co2 Co 0.499 0.499 0.499
P1 P 0.458 0.750 0.042
P2 P 0.750 0.042 0.458
P3 P 0.042 0.458 0.750
P4 P 0.957 0.544 0.250
P5 P 0.250 0.957 0.544
P6 P 0.544 0.250 0.957
O1 O 0.688 0.881 0.496
O2 O 0.881 0.496 0.688
O3 O 0.496 0.688 0.881
O4 O 0.260 0.912 0.059
O5 O 0.616 0.810 0.009
O6 O 0.438 0.586 0.239
O7 O 0.912 0.059 0.260
O8 O 0.586 0.239 0.438
O9 O 0.995 0.382 0.188
O10 O 0.239 0.438 0.586
O11 O 0.944 0.739 0.089
O12 O 0.188 0.995 0.382
O13 O 0.810 0.009 0.616
O14 O 0.059 0.260 0.912
O15 O 0.761 0.559 0.414
O16 O 0.009 0.616 0.810
O17 O 0.414 0.761 0.559
O18 O 0.089 0.944 0.739
O19 O 0.559 0.414 0.761
O20 O 0.382 0.188 0.995
O21 O 0.739 0.089 0.944
O22 O 0.501 0.316 0.117
O23 O 0.117 0.501 0.316
O24 O 0.316 0.117 0.501

# K3VO8, optimized geometry, DFT PBE with a Hubbard U
# E: -64.5 eV/cell
# calculated formation energy: -1.291 eV per atom
data_K3VO8
_space_group_name_H-M_alt 'P 1'
_space_group_IT_number 1
_cell_length_a 6.195
_cell_length_b 6.195
_cell_length_c 6.195
_cell_angle_alpha 113.31
_cell_angle_beta 113.31
_cell_angle_gamma 102.03
loop_
_space_group_symop_operation_xyz
'x,y,z'
loop_
_atom_site_label
_atom_site_type_symbol
_atom_site_fract_x
_atom_site_fract_y
_atom_site_fract_z
K1 K 0.750 0.250 0.500
K2 K 0.250 0.750 0.500
K3 K 0.500 0.500 0.000
V1 V 0.000 0.000 0.000
O1 O 0.220 0.220 0.410
O2 O 0.811 0.811 0.590
O3 O 0.780 0.189 0.000
O4 O 0.189 0.780 0.000
O5 O 0.318 0.318 0.270
O6 O 0.048 0.048 0.730
O7 O 0.682 0.952 0.000
O8 O 0.952 0.682 0.000

# Li9Mn2Co5O16, optimized geometry, DFT PBE with a Hubbard U
# E: -185.4 eV/cell
# calculated formation energy: -1.802 eV per atom
# E above lowest polymorph: 5.99 kJ per mole of atoms
data_Li9Mn2Co5O16
_space_group_name_H-M_alt 'P 1'
_space_group_IT_number 1
_cell_length_a 2.882
_cell_length_b 5.874
_cell_length_c 17.054
_cell_angle_alpha 89.77
_cell_angle_beta 90.00
_cell_angle_gamma 90.00
loop_
_space_group_symop_operation_xyz
'x,y,z'
loop_
_atom_site_label
_atom_site_type_symbol
_atom_site_fract_x
_atom_site_fract_y
_atom_site_fract_z
Li1 Li 0.500 0.750 0.871
Li2 Li 0.500 0.256 0.624
Li3 Li 0.500 0.754 0.378
Li4 Li 0.000 0.995 0.740
Li5 Li 0.000 0.505 0.504
Li6 Li 0.000 0.001 0.251
Li7 Li 0.500 0.250 0.129
Li8 Li 0.000 0.498 0.002
Li9 Li 0.500 0.745 0.624
Mn1 Mn 0.000 0.001 0.001
Mn2 Mn 0.000 0.503 0.742
Co1 Co 0.000 0.993 0.514
Co2 Co 0.000 0.498 0.252
Co3 Co 0.500 0.242 0.376
Co4 Co 0.500 0.749 0.129
Co5 Co 0.500 0.251 0.871
O1 O 0.500 0.771 0.999
O2 O 0.500 0.275 0.748
O3 O 0.500 0.775 0.500
O4 O 0.000 0.029 0.873
O5 O 0.000 0.502 0.636
O6 O 0.000 0.019 0.375
O7 O 0.500 0.268 0.252
O8 O 0.000 0.512 0.127
O9 O 0.500 0.723 0.752
O10 O 0.500 0.225 0.497
O11 O 0.500 0.732 0.248
O12 O 0.000 0.002 0.619
O13 O 0.000 0.483 0.373
O14 O 0.000 0.988 0.124
O15 O 0.500 0.231 0.999
O16 O 0.000 0.474 0.868

# Ba2Nd2Fe4O11, optimized geometry, DFT PBE with a Hubbard U
# E: -133.8 eV/cell
# calculated formation energy: -2.562 eV per atom
data_Ba2Nd2Fe4O11
_space_group_name_H-M_alt 'P 1'
_space_group_IT_number 1
_cell_length_a 8.889
_cell_length_b 8.889
_cell_length_c 3.962
_cell_angle_alpha 90.00
_cell_angle_beta 90.00
_cell_angle_gamma 125.89
loop_
_space_group_symop_operation_xyz
'x,y,z'
loop_
_atom_site_label
_atom_site_type_symbol
_atom_site_fract_x
_atom_site_fract_y
_atom_site_fract_z
Ba1 Ba 0.000 0.500 0.500
Ba2 Ba 0.500 0.000 0.500
Nd1 Nd 0.732 0.732 0.500
Nd2 Nd 0.268 0.268 0.500
Fe1 Fe 0.126 0.874 0.000
Fe2 Fe 0.874 0.126 0.000
Fe3 Fe 0.377 0.623 0.000
Fe4 Fe 0.623 0.377 0.000
O1 O 0.864 0.656 0.000
O2 O 0.344 0.136 0.000
O3 O 0.136 0.344 0.000
O4 O 0.656 0.864 0.000
O5 O 0.091 0.909 0.500
O6 O 0.909 0.091 0.500
O7 O 0.382 0.618 0.500
O8 O 0.618 0.382 0.500
O9 O 0.248 0.752 0.000
O10 O 0.752 0.248 0.000
O11 O 0.500 0.500 0.000

# YLu3Cr4O16, optimized geometry, DFT PBE with a Hubbard U
# E: -185.6 eV/cell
# calculated formation energy: -2.781 eV per atom
data_YLu3Cr4O16
_space_group_name_H-M_alt 'P 1'
_space_group_IT_number 1
_cell_length_a 5.918
_cell_length_b 5.918
_cell_length_c 10.053
_cell_angle_alpha 90.00
_cell_angle_beta 90.00
_cell_angle_gamma 116.26
loop_
_space_group_symop_operation_xyz
'x,y,z'
loop_
_atom_site_label
_atom_site_type_symbol
_atom_site_fract_x
_atom_site_fract_y
_atom_site_fract_z
Y1 Y 0.000 0.000 0.500
Lu1 Lu 0.500 0.500 0.000
Lu2 Lu 0.000 0.500 0.751
Lu3 Lu 0.500 0.000 0.249
Cr1 Cr 0.500 0.500 0.500
Cr2 Cr 0.000 0.000 0.000
Cr3 Cr 0.500 0.000 0.754
Cr4 Cr 0.000 0.500 0.246
O1 O 0.767 0.582 0.595
O2 O 0.270 0.086 0.094
O3 O 0.582 0.767 0.405
O4 O 0.086 0.270 0.906
O5 O 0.913 0.229 0.339
O6 O 0.417 0.727 0.843
O7 O 0.229 0.913 0.661
O8 O 0.727 0.417 0.157
O9 O 0.418 0.233 0.405
O10 O 0.914 0.730 0.906
O11 O 0.233 0.418 0.595
O12 O 0.730 0.914 0.094
O13 O 0.771 0.087 0.661
O14 O 0.273 0.583 0.157
O15 O 0.087 0.771 0.339
O16 O 0.583 0.273 0.843

# MnFeO3, optimized geometry, DFT PBE with a Hubbard U
# E: -284.9 eV/cell
# calculated formation energy: -1.824 eV per atom
data_MnFeO3
_space_group_name_H-M_alt 'P 1'
_space_group_IT_number 1
_cell_length_a 8.270
_cell_length_b 8.270
_cell_length_c 8.270
_cell_angle_alpha 109.71
_cell_angle_beta 109.27
_cell_angle_gamma 109.43
loop_
_space_group_symop_operation_xyz
'x,y,z'
loop_
_atom_site_label
_atom_site_type_symbol
_atom_site_fract_x
_atom_site_fract_y
_atom_site_fract_z
Mn1 Mn 0.218 0.968 0.250
Mn2 Mn 0.250 0.216 0.966
Mn3 Mn 0.282 0.532 0.750
Mn4 Mn 0.250 0.716 0.466
Mn5 Mn 0.750 0.284 0.534
Mn6 Mn 0.750 0.784 0.034
Mn7 Mn 0.718 0.468 0.250
Mn8 Mn 0.782 0.032 0.750
Fe1 Fe 0.000 0.000 0.500
Fe2 Fe 0.040 0.750 0.790
Fe3 Fe 0.000 0.500 0.000
Fe4 Fe 0.460 0.250 0.710
Fe5 Fe 0.500 0.500 0.500
Fe6 Fe 0.540 0.750 0.290
Fe7 Fe 0.500 0.000 0.000
Fe8 Fe 0.960 0.250 0.210
O1 O 0.059 0.509 0.786
O2 O 0.225 0.950 0.493
O3 O 0.275 0.768 0.726
O4 O 0.223 0.273 0.714
O5 O 0.983 0.044 0.269
O6 O 0.225 0.456 0.439
O7 O 0.042 0.268 0.993
O8 O 0.275 0.714 0.231
O9 O 0.723 0.009 0.950
O10 O 0.559 0.773 0.550
O11 O 0.483 0.214 0.939
O12 O 0.542 0.550 0.774
O13 O 0.458 0.450 0.226
O14 O 0.517 0.786 0.061
O15 O 0.441 0.227 0.450
O16 O 0.277 0.991 0.050
O17 O 0.958 0.732 0.007
O18 O 0.725 0.286 0.769
O19 O 0.775 0.544 0.561
O20 O 0.017 0.956 0.731
O21 O 0.777 0.727 0.286
O22 O 0.725 0.232 0.274
O23 O 0.775 0.050 0.507
O24 O 0.941 0.491 0.214